Entry 1:
{"formula": "Eu2Si3Pd", "functional": "r2SCAN", "state": "relaxed", "lattice": [[8.294, 0.000, 0.000], [-4.147, 7.183, 0.000], [0.000, 0.000, 4.346]], "species": ["Eu", "Eu", "Eu", "Eu", "Si", "Si", "Si", "Si", "Si", "Si", "Pd", "Pd"], "frac_coords": [[0.000, 0.000, 0.000], [0.000, 0.500, 0.000], [0.500, 0.000, 0.000], [0.500, 0.500, 0.000], [0.164, 0.329, 0.500], [0.164, 0.836, 0.500], [0.329, 0.164, 0.500], [0.671, 0.836, 0.500], [0.836, 0.164, 0.500], [0.836, 0.671, 0.500], [0.333, 0.667, 0.500], [0.667, 0.333, 0.500]], "magnetic_moment_mub_per_fu": 13.8, "density_g_cm3": 6.3, "delta_e_f_ev_per_atom": -0.799}


Entry 2:
{"formula": "EuSiPd", "functional": "r2SCAN", "state": "relaxed", "lattice": [[6.437, 0.000, 0.000], [0.000, 6.437, 0.000], [0.000, 0.000, 6.437]], "species": ["Eu", "Eu", "Eu", "Eu", "Si", "Si", "Si", "Si", "Pd", "Pd", "Pd", "Pd"], "frac_coords": [[0.124, 0.124, 0.124], [0.376, 0.876, 0.624], [0.624, 0.376, 0.876], [0.876, 0.624, 0.376], [0.168, 0.332, 0.668], [0.332, 0.668, 0.168], [0.668, 0.168, 0.332], [0.832, 0.832, 0.832], [0.087, 0.587, 0.913], [0.413, 0.413, 0.413], [0.587, 0.913, 0.087], [0.913, 0.087, 0.587]], "magnetic_moment_mub_per_fu": 7.0, "density_g_cm3": 7.1, "delta_e_f_ev_per_atom": -0.855}


Entry 3:
{"formula": "EuSn2Pd2", "functional": "r2SCAN", "state": "relaxed", "lattice": [[4.633, 0.000, 0.000], [0.000, 4.633, 0.000], [0.000, 0.000, 10.636]], "species": ["Eu", "Eu", "Sn", "Sn", "Sn", "Sn", "Pd", "Pd", "Pd", "Pd"], "frac_coords": [[0.250, 0.250, 0.246], [0.750, 0.750, 0.754], [0.250, 0.250, 0.876], [0.250, 0.750, 0.500], [0.750, 0.250, 0.500], [0.750, 0.750, 0.124], [0.250, 0.250, 0.630], [0.250, 0.750, 0.000], [0.750, 0.250, 0.000], [0.750, 0.750, 0.370]], "magnetic_moment_mub_per_fu": 7.0, "density_g_cm3": 8.8, "delta_e_f_ev_per_atom": -0.761}